The following is a DFT calculation (PBE-GGA) of a geometry-optimized WBr6 structure.

POSCAR file:
```
WBr6
1.0
3.4867 2.0130 6.2627
-3.4867 2.0130 6.2627
0.0000 -4.0261 6.2627
W Br
1 6
direct
0.0000 0.0000 0.0000 W
0.0806 0.7835 0.3642 Br
0.2165 0.6358 0.9194 Br
0.3642 0.0806 0.7835 Br
0.6358 0.9194 0.2165 Br
0.7835 0.3642 0.0806 Br
0.9194 0.2165 0.6358 Br
```

Summary:
**Formation energy from the elements**: -0.935 eV/atom